Entry 1:
Entry from the Materials Project database: a relaxed structure of Li4V2SiP2O12 (PBE+U).

```
84
Lattice="8.991 0.000 0.000 4.488 7.815 0.000 4.490 2.501 13.419" Properties=species:S:1:pos:R:3 pbc="T T T"
O 5.964 5.178 8.531
O 10.531 5.078 1.831
O 10.301 2.897 0.417
O 12.134 2.762 10.509
O 10.308 8.030 9.718
O 12.879 6.580 1.838
O 7.643 2.284 3.702
O 14.867 7.806 8.223
O 8.394 9.038 8.254
O 3.038 2.563 5.188
O 10.303 4.863 9.647
O 10.561 2.681 8.272
O 11.976 4.959 11.902
O 10.346 2.898 2.972
O 12.983 6.351 9.708
O 7.382 5.191 11.566
O 10.414 7.792 1.800
O 4.966 3.800 6.383
O 12.008 5.171 4.873
O 5.944 2.595 1.518
O 7.392 7.616 5.217
O 9.686 6.436 11.869
O 5.877 7.535 2.930
O 7.650 5.438 6.342
O 7.675 7.521 13.077
O 6.057 5.379 1.501
O 7.651 2.300 6.257
O 10.345 4.836 7.094
O 9.586 1.279 5.109
O 9.583 6.465 4.950
O 4.961 3.958 3.673
O 4.033 1.205 3.046
O 5.822 7.562 0.388
O 8.376 3.839 8.482
O 6.094 2.373 8.553
O 13.891 8.992 13.026
O 7.565 2.402 11.628
O 11.879 7.942 4.855
O 7.591 7.478 10.367
O 7.648 5.454 3.792
O 4.004 1.362 0.331
O 8.368 3.897 1.598
O 5.121 3.712 11.626
O 10.362 8.004 7.172
O 13.013 6.511 6.997
O 12.103 7.742 11.878
O 12.149 2.785 13.055
O 13.879 9.032 10.467
V 6.752 3.830 12.921
V 6.711 3.914 2.849
V 15.742 9.015 9.569
V 11.266 6.502 0.505
V 11.235 6.386 10.567
V 2.266 1.269 3.858
V 6.726 3.842 7.207
V 11.239 6.470 6.207
P 8.043 6.199 5.079
P 5.425 6.803 1.664
P 12.564 3.518 11.771
P 13.036 9.002 11.751
P 8.046 1.542 4.977
P 9.910 3.639 1.702
P 9.916 4.106 8.367
P 9.927 8.770 8.430
Li 8.621 5.955 1.672
Li 9.316 4.428 11.894
Li 4.118 4.496 1.659
Li 4.149 3.264 8.226
Li 11.265 6.497 3.353
Li 9.339 8.515 4.891
Li 6.736 3.961 10.048
Li 7.513 1.285 1.713
Li 10.411 8.964 11.726
Li 10.458 3.862 5.017
Li 13.909 5.818 11.567
Li 7.501 6.510 8.509
Li 13.831 7.044 5.177
Li 6.763 9.036 6.710
Li 11.094 6.334 13.409
Li 8.623 1.762 8.406
Si 13.906 6.455 8.365
Si 4.926 1.295 1.679
Si 8.054 6.700 11.725
Si 4.046 3.875 5.026
```

Values from the calculation:
MP2020-corrected energy (eV per cell): -632.71
Space-group type: P1, No. 1
Total moment (μB per cell): 16.0
Energy relative to the lowest polymorph listed for this composition (eV/f.u.): 0.23

=====

Entry 2:
Entry from the Materials Project database: a relaxed structure of Li4V2SiP2O12 (PBE+U).

```
42
Lattice="4.500 7.205 0.000 -4.500 7.205 0.000 0.000 4.412 7.280" Properties=species:S:1:pos:R:3 pbc="T T T"
O -1.331 10.134 0.910
O 3.128 7.718 2.896
O -0.446 16.521 4.986
O -3.128 9.924 6.536
O 0.446 14.315 1.346
O 1.336 6.706 0.099
O 0.665 7.282 4.098
O 1.508 11.777 1.828
O -0.436 4.494 5.901
O 3.157 8.862 0.681
O 1.313 8.731 6.471
O 1.447 4.866 1.747
O -1.313 6.525 2.831
O -1.508 13.983 5.468
O -1.442 12.034 7.154
O 0.732 13.770 6.856
O 1.442 9.828 3.514
O -1.447 7.072 5.387
O -1.336 8.912 3.739
O -0.665 5.076 0.458
O 0.436 2.288 2.261
O -0.732 11.564 3.216
O 1.331 12.340 4.550
O -3.157 11.068 4.321
P 4.088 8.295 1.807
P 0.891 5.257 0.335
P -4.088 10.501 5.447
P -0.891 7.463 3.975
Li 2.121 10.808 0.042
Li -0.457 4.473 2.467
Li 0.436 14.211 4.814
Li 0.457 6.679 6.107
Li 1.421 8.483 1.861
Li -0.436 12.005 1.174
Li -1.421 10.689 5.501
Li -2.121 13.014 3.683
V 2.268 8.480 4.648
V -2.232 10.347 2.601
V 2.232 12.553 6.242
V -2.268 6.274 1.007
Si -0.909 13.563 6.959
Si 0.909 11.357 3.319
```

Values from the calculation:
MP2020-corrected energy (eV per cell): -316.36
Space-group type: Cc, No. 9
Total moment (μB per cell): 8.0
Energy relative to the lowest polymorph listed for this composition (eV/f.u.): 0.23

=====

Entry 3:
Entry from the Materials Project database: a relaxed structure of Li2V2SnP3O12 (PBE+U).

```
40
Lattice="-3.845 3.318 7.641 -6.059 -4.878 5.071 1.997 -3.308 8.443" Properties=species:S:1:pos:R:3 pbc="T T T"
V -6.707 -4.108 18.001
V -5.108 -3.185 13.751
V -2.764 -1.671 7.374
V -1.195 -0.764 3.201
Li -6.722 -1.261 11.858
Li -4.753 -5.455 11.734
Li -2.383 -1.807 13.421
Li -3.032 0.611 9.472
O -4.369 -1.339 12.928
O -1.177 -4.356 11.935
O -2.608 0.311 13.560
O -1.094 -2.502 6.565
O -3.556 -3.511 8.235
O -1.917 -1.466 9.364
O -5.738 -5.147 14.183
O 0.293 -2.486 10.238
O -4.354 -0.891 8.604
O -3.505 -3.979 12.664
O -4.303 0.811 11.687
O -3.874 -2.944 15.377
O -5.265 -5.295 7.470
O -4.971 1.477 8.975
O -6.704 -0.412 9.285
O -6.746 -2.221 14.490
O -6.091 -3.300 11.889
O -0.891 -0.561 11.404
O -2.828 -6.312 12.133
O -3.939 -2.002 5.763
O -3.602 -5.731 9.354
O -6.995 -4.435 9.889
O -8.200 -2.404 10.901
O -2.264 0.313 7.048
P -3.777 -5.054 7.997
P -4.104 0.187 13.089
P -5.572 0.116 8.409
P -7.427 -3.728 11.175
P -0.511 -1.142 10.047
P -2.301 -4.977 12.760
Sn 1.789 -3.241 8.769
Sn -3.842 -2.519 10.211
```

Values from the calculation:
MP2020-corrected energy (eV per cell): -304.98
Space-group type: C2, No. 5
Total moment (μB per cell): 10.0

=====

Entry 4:
Entry from the Materials Project database: a relaxed structure of Li6VSn3P6O24 (PBE+U).

```
40
Lattice="-7.740 1.147 -3.578 -4.673 -7.165 -1.154 -6.742 -0.988 5.327" Properties=species:S:1:pos:R:3 pbc="T T T"
P -10.181 -6.966 1.070
P -11.939 -2.079 2.582
P -11.591 -3.339 -2.632
P -9.073 0.121 -0.381
P -7.202 -4.946 -2.262
P -7.577 -3.928 3.354
O -9.117 0.423 -1.913
O -6.707 -6.343 -1.789
O -8.568 -5.121 3.546
O -11.183 -4.489 -3.627
O -11.134 -3.735 -1.178
O -7.831 -2.816 4.416
O -15.117 -6.039 2.075
O -7.866 -3.327 1.958
O -11.367 -3.006 1.432
O -5.381 -4.469 0.822
O -12.395 -0.720 1.952
O -8.698 -1.378 -0.217
O -15.121 -6.774 -0.901
O -6.711 -0.689 1.898
O -10.878 -2.021 -2.944
O -12.746 -5.278 2.288
O -6.499 -1.659 -2.165
O -13.884 -3.314 -0.020
O -10.097 -7.064 2.644
O -12.716 -6.085 -0.888
O -8.896 -7.246 0.316
O -10.767 -1.958 3.558
O -7.647 -4.148 -1.012
O -10.475 -5.420 0.856
Li -8.465 -1.583 -2.338
Li -6.903 -5.661 0.274
Li -7.730 0.974 -3.433
Li -9.537 -3.341 0.142
Li -8.323 -1.441 2.813
Li -10.607 -5.067 2.864
Sn -6.412 -2.346 0.205
Sn -16.356 -6.001 0.494
Sn -12.288 -4.520 0.350
V -2.929 -1.082 0.089
```

Values from the calculation:
MP2020-corrected energy (eV per cell): -284.32
Space-group type: P1, No. 1
Total moment (μB per cell): 3.0